Entry 1:
DFT (PBE with a Hubbard U) results for crystalline LiFeP2O7 at its relaxed geometry.

Values from the calculation:
polymorph energy (0 for the lowest one)	105	meV/atom
corrected total energy (MP2020 scheme)	-0.551	Ry/atom
calculated formation energy	-2422	meV per atom
symmetry	P1

Geometry as CIF:
```
data_LiFeP2O7
_cell_length_a 4.814
_cell_length_b 8.035
_cell_length_c 8.707
_cell_angle_alpha 107.54
_cell_angle_beta 90.30
_cell_angle_gamma 107.04
_space_group_name_H-M_alt 'P 1'
_space_group_IT_number 1
loop_
_space_group_symop_operation_xyz
'x,y,z'
loop_
_atom_site_label
_atom_site_type_symbol
_atom_site_fract_x
_atom_site_fract_y
_atom_site_fract_z
Li1 Li 0.000 0.000 0.000
Li2 Li 0.332 0.998 0.502
Fe1 Fe 0.261 0.420 0.105
Fe2 Fe 0.493 0.418 0.604
P1 P 0.099 0.611 0.849
P2 P 0.641 0.206 0.243
P3 P 0.843 0.607 0.346
P4 P 0.905 0.208 0.741
O1 O 0.022 0.222 0.911
O2 O 0.127 0.754 0.377
O3 O 0.156 0.219 0.630
O4 O 0.209 0.592 0.006
O5 O 0.320 0.597 0.723
O6 O 0.398 0.221 0.135
O7 O 0.543 0.218 0.413
O8 O 0.625 0.597 0.212
O9 O 0.630 0.058 0.671
O10 O 0.689 0.586 0.496
O11 O 0.764 0.054 0.171
O12 O 0.822 0.408 0.765
O13 O 0.922 0.404 0.268
O14 O 0.964 0.759 0.868
```


Entry 2:
DFT (PBE with a Hubbard U) results for crystalline LiFe2P3O12 at its relaxed geometry.

Values from the calculation:
polymorph energy (0 for the lowest one)	1	meV/atom
corrected total energy (MP2020 scheme)	-0.551	Ry/atom
calculated formation energy	-2249	meV per atom
symmetry	Pc

Geometry as CIF:
```
data_LiFe2P3O12
_cell_length_a 8.686
_cell_length_b 8.802
_cell_length_c 14.976
_cell_angle_alpha 90.00
_cell_angle_beta 125.45
_cell_angle_gamma 90.00
_space_group_name_H-M_alt 'P 1'
_space_group_IT_number 1
loop_
_space_group_symop_operation_xyz
'x,y,z'
loop_
_atom_site_label
_atom_site_type_symbol
_atom_site_fract_x
_atom_site_fract_y
_atom_site_fract_z
Li1 Li 0.000 0.027 0.000
Li2 Li 0.000 0.973 0.500
Li3 Li 0.425 0.470 0.496
Li4 Li 0.425 0.530 0.996
Fe1 Fe 0.157 0.215 0.203
Fe2 Fe 0.157 0.785 0.703
Fe3 Fe 0.389 0.205 0.935
Fe4 Fe 0.389 0.795 0.435
Fe5 Fe 0.659 0.283 0.702
Fe6 Fe 0.659 0.717 0.202
Fe7 Fe 0.891 0.295 0.435
Fe8 Fe 0.891 0.705 0.935
P1 P 0.065 0.356 0.965
P2 P 0.065 0.644 0.465
P3 P 0.274 0.143 0.464
P4 P 0.274 0.857 0.964
P5 P 0.482 0.499 0.815
P6 P 0.482 0.501 0.315
P7 P 0.564 0.002 0.321
P8 P 0.564 0.998 0.821
P9 P 0.767 0.360 0.171
P10 P 0.767 0.640 0.671
P11 P 0.986 0.142 0.670
P12 P 0.986 0.858 0.170
O1 O 0.010 0.018 0.137
O2 O 0.010 0.982 0.637
O3 O 0.041 0.483 0.494
O4 O 0.041 0.517 0.994
O5 O 0.095 0.237 0.049
O6 O 0.095 0.763 0.549
O7 O 0.113 0.156 0.480
O8 O 0.113 0.844 0.980
O9 O 0.164 0.190 0.782
O10 O 0.164 0.810 0.282
O11 O 0.200 0.183 0.346
O12 O 0.200 0.817 0.846
O13 O 0.241 0.358 0.962
O14 O 0.241 0.642 0.462
O15 O 0.294 0.413 0.248
O16 O 0.294 0.587 0.748
O17 O 0.341 0.024 0.990
O18 O 0.341 0.976 0.490
O19 O 0.399 0.112 0.253
O20 O 0.399 0.888 0.753
O21 O 0.435 0.257 0.541
O22 O 0.435 0.743 0.041
O23 O 0.472 0.401 0.898
O24 O 0.472 0.599 0.398
O25 O 0.500 0.406 0.735
O26 O 0.500 0.594 0.235
O27 O 0.549 0.090 0.903
O28 O 0.549 0.910 0.403
O29 O 0.560 0.108 0.739
O30 O 0.560 0.892 0.239
O31 O 0.610 0.246 0.092
O32 O 0.610 0.754 0.592
O33 O 0.649 0.392 0.385
O34 O 0.649 0.608 0.885
O35 O 0.687 0.476 0.639
O36 O 0.687 0.524 0.139
O37 O 0.757 0.083 0.388
O38 O 0.757 0.917 0.888
O39 O 0.819 0.145 0.681
O40 O 0.819 0.855 0.181
O41 O 0.841 0.326 0.290
O42 O 0.841 0.674 0.790
O43 O 0.888 0.307 0.852
O44 O 0.888 0.693 0.352
O45 O 0.924 0.340 0.154
O46 O 0.924 0.660 0.654
O47 O 0.945 0.256 0.581
O48 O 0.945 0.744 0.081
```


Entry 3:
DFT (PBE with a Hubbard U) results for crystalline LiFePO4 at its relaxed geometry.

Values from the calculation:
polymorph energy (0 for the lowest one)	95	meV/atom
corrected total energy (MP2020 scheme)	-0.549	Ry/atom
calculated formation energy	-2386	meV per atom
symmetry	Cc

Geometry as CIF:
```
data_LiFePO4
_cell_length_a 5.155
_cell_length_b 5.155
_cell_length_c 8.203
_cell_angle_alpha 92.27
_cell_angle_beta 92.27
_cell_angle_gamma 120.16
_space_group_name_H-M_alt 'P 1'
_space_group_IT_number 1
loop_
_space_group_symop_operation_xyz
'x,y,z'
loop_
_atom_site_label
_atom_site_type_symbol
_atom_site_fract_x
_atom_site_fract_y
_atom_site_fract_z
Li1 Li 0.077 0.923 0.500
Li2 Li 0.923 0.077 0.000
Fe1 Fe 0.233 0.638 0.167
Fe2 Fe 0.638 0.233 0.667
P1 P 0.254 0.567 0.758
P2 P 0.567 0.254 0.258
O1 O 0.035 0.606 0.638
O2 O 0.102 0.488 0.923
O3 O 0.280 0.297 0.690
O4 O 0.297 0.280 0.190
O5 O 0.488 0.102 0.423
O6 O 0.564 0.861 0.776
O7 O 0.606 0.035 0.138
O8 O 0.861 0.564 0.276
```


Entry 4:
DFT (PBE with a Hubbard U) results for crystalline LiFe2P2O8 at its relaxed geometry.

Values from the calculation:
polymorph energy (0 for the lowest one)	19	meV/atom
corrected total energy (MP2020 scheme)	-0.566	Ry/atom
calculated formation energy	-2370	meV per atom
symmetry	C2

Geometry as CIF:
```
data_LiFe2P2O8
_cell_length_a 5.175
_cell_length_b 5.175
_cell_length_c 6.951
_cell_angle_alpha 91.07
_cell_angle_beta 91.07
_cell_angle_gamma 96.16
_space_group_name_H-M_alt 'P 1'
_space_group_IT_number 1
loop_
_space_group_symop_operation_xyz
'x,y,z'
loop_
_atom_site_label
_atom_site_type_symbol
_atom_site_fract_x
_atom_site_fract_y
_atom_site_fract_z
Li1 Li 0.000 0.000 0.000
Fe1 Fe 0.508 0.492 0.000
Fe2 Fe 0.985 0.015 0.500
P1 P 0.009 0.505 0.247
P2 P 0.495 0.991 0.753
O1 O 0.305 0.574 0.209
O2 O 0.369 0.065 0.565
O3 O 0.385 0.138 0.931
O4 O 0.426 0.695 0.791
O5 O 0.794 0.060 0.755
O6 O 0.862 0.615 0.069
O7 O 0.935 0.631 0.435
O8 O 0.940 0.206 0.245
```


Entry 5:
DFT (PBE with a Hubbard U) results for crystalline LiFePO4 at its relaxed geometry.

Values from the calculation:
polymorph energy (0 for the lowest one)	58	meV/atom
corrected total energy (MP2020 scheme)	-0.552	Ry/atom
calculated formation energy	-2422	meV per atom
symmetry	P2_1/c

Geometry as CIF:
```
data_LiFePO4
_cell_length_a 8.486
_cell_length_b 7.400
_cell_length_c 16.976
_cell_angle_alpha 90.00
_cell_angle_beta 119.03
_cell_angle_gamma 90.00
_space_group_name_H-M_alt 'P 1'
_space_group_IT_number 1
loop_
_space_group_symop_operation_xyz
'x,y,z'
loop_
_atom_site_label
_atom_site_type_symbol
_atom_site_fract_x
_atom_site_fract_y
_atom_site_fract_z
Li1 Li 0.016 0.174 0.420
Li2 Li 0.016 0.326 0.920
Li3 Li 0.320 0.178 0.241
Li4 Li 0.320 0.322 0.741
Li5 Li 0.341 0.669 0.408
Li6 Li 0.341 0.831 0.908
Li7 Li 0.659 0.169 0.092
Li8 Li 0.659 0.331 0.592
Li9 Li 0.680 0.678 0.259
Li10 Li 0.680 0.822 0.759
Li11 Li 0.984 0.674 0.080
Li12 Li 0.984 0.826 0.580
Fe1 Fe 0.004 0.046 0.755
Fe2 Fe 0.004 0.454 0.255
Fe3 Fe 0.313 0.039 0.076
Fe4 Fe 0.313 0.461 0.576
Fe5 Fe 0.345 0.044 0.587
Fe6 Fe 0.345 0.456 0.087
Fe7 Fe 0.655 0.544 0.913
Fe8 Fe 0.655 0.956 0.413
Fe9 Fe 0.687 0.539 0.424
Fe10 Fe 0.687 0.961 0.924
Fe11 Fe 0.996 0.546 0.745
Fe12 Fe 0.996 0.954 0.245
P1 P 0.034 0.736 0.924
P2 P 0.034 0.764 0.424
P3 P 0.311 0.739 0.729
P4 P 0.311 0.761 0.229
P5 P 0.358 0.241 0.911
P6 P 0.358 0.259 0.411
P7 P 0.642 0.741 0.589
P8 P 0.642 0.759 0.089
P9 P 0.689 0.239 0.771
P10 P 0.689 0.261 0.271
P11 P 0.966 0.236 0.576
P12 P 0.966 0.264 0.076
O1 O 0.071 0.225 0.681
O2 O 0.071 0.275 0.181
O3 O 0.109 0.234 0.044
O4 O 0.109 0.266 0.544
O5 O 0.135 0.556 0.962
O6 O 0.135 0.944 0.462
O7 O 0.149 0.225 0.860
O8 O 0.149 0.275 0.360
O9 O 0.171 0.608 0.454
O10 O 0.171 0.892 0.954
O11 O 0.196 0.738 0.279
O12 O 0.196 0.762 0.779
O13 O 0.255 0.611 0.158
O14 O 0.255 0.889 0.658
O15 O 0.258 0.555 0.679
O16 O 0.258 0.945 0.179
O17 O 0.412 0.101 0.369
O18 O 0.412 0.399 0.869
O19 O 0.420 0.232 0.513
O20 O 0.420 0.268 0.013
O21 O 0.441 0.064 0.898
O22 O 0.441 0.436 0.398
O23 O 0.486 0.243 0.699
O24 O 0.486 0.257 0.199
O25 O 0.514 0.743 0.801
O26 O 0.514 0.757 0.301
O27 O 0.559 0.564 0.602
O28 O 0.559 0.936 0.102
O29 O 0.580 0.732 0.987
O30 O 0.580 0.768 0.487
O31 O 0.588 0.601 0.131
O32 O 0.588 0.899 0.631
O33 O 0.742 0.055 0.821
O34 O 0.742 0.445 0.321
O35 O 0.745 0.111 0.342
O36 O 0.745 0.389 0.842
O37 O 0.804 0.238 0.221
O38 O 0.804 0.262 0.721
O39 O 0.829 0.108 0.046
O40 O 0.829 0.392 0.546
O41 O 0.851 0.725 0.640
O42 O 0.851 0.775 0.140
O43 O 0.865 0.056 0.538
O44 O 0.865 0.444 0.038
O45 O 0.891 0.734 0.456
O46 O 0.891 0.766 0.956
O47 O 0.929 0.725 0.819
O48 O 0.929 0.775 0.319
```


Entry 6:
DFT (PBE with a Hubbard U) results for crystalline LiFePO4 at its relaxed geometry.

Values from the calculation:
polymorph energy (0 for the lowest one)	74	meV/atom
corrected total energy (MP2020 scheme)	-0.550	Ry/atom
calculated formation energy	-2406	meV per atom
symmetry	P2_1/c

Geometry as CIF:
```
data_LiFePO4
_cell_length_a 7.702
_cell_length_b 4.935
_cell_length_c 18.479
_cell_angle_alpha 90.00
_cell_angle_beta 90.75
_cell_angle_gamma 90.00
_space_group_name_H-M_alt 'P 1'
_space_group_IT_number 1
loop_
_space_group_symop_operation_xyz
'x,y,z'
loop_
_atom_site_label
_atom_site_type_symbol
_atom_site_fract_x
_atom_site_fract_y
_atom_site_fract_z
Li1 Li 0.011 0.147 0.186
Li2 Li 0.011 0.353 0.686
Li3 Li 0.484 0.226 0.086
Li4 Li 0.484 0.274 0.586
Li5 Li 0.516 0.726 0.414
Li6 Li 0.516 0.774 0.914
Li7 Li 0.989 0.647 0.314
Li8 Li 0.989 0.853 0.814
Fe1 Fe 0.157 0.725 0.517
Fe2 Fe 0.157 0.775 0.017
Fe3 Fe 0.334 0.220 0.273
Fe4 Fe 0.334 0.280 0.773
Fe5 Fe 0.666 0.720 0.227
Fe6 Fe 0.666 0.780 0.727
Fe7 Fe 0.843 0.225 0.983
Fe8 Fe 0.843 0.275 0.483
P1 P 0.250 0.218 0.936
P2 P 0.250 0.282 0.436
P3 P 0.255 0.649 0.182
P4 P 0.255 0.851 0.682
P5 P 0.745 0.149 0.318
P6 P 0.745 0.351 0.818
P7 P 0.750 0.718 0.564
P8 P 0.750 0.782 0.064
O1 O 0.061 0.098 0.929
O2 O 0.061 0.402 0.429
O3 O 0.113 0.002 0.727
O4 O 0.113 0.498 0.227
O5 O 0.242 0.540 0.694
O6 O 0.242 0.960 0.194
O7 O 0.247 0.566 0.102
O8 O 0.247 0.934 0.602
O9 O 0.253 0.533 0.935
O10 O 0.253 0.967 0.435
O11 O 0.326 0.103 0.008
O12 O 0.326 0.397 0.508
O13 O 0.354 0.103 0.872
O14 O 0.354 0.397 0.372
O15 O 0.431 0.532 0.212
O16 O 0.431 0.968 0.712
O17 O 0.569 0.032 0.288
O18 O 0.569 0.468 0.788
O19 O 0.646 0.603 0.628
O20 O 0.646 0.897 0.128
O21 O 0.674 0.603 0.492
O22 O 0.674 0.897 0.992
O23 O 0.747 0.033 0.565
O24 O 0.747 0.467 0.065
O25 O 0.753 0.066 0.398
O26 O 0.753 0.434 0.898
O27 O 0.758 0.040 0.806
O28 O 0.758 0.460 0.306
O29 O 0.887 0.502 0.773
O30 O 0.887 0.998 0.273
O31 O 0.939 0.598 0.571
O32 O 0.939 0.902 0.071
```